Record 1
VASP calculation (PBE with a Hubbard U) on a relaxed V3CoO8 crystal.

Lattice parameters (Å, degrees): 5.5853 5.5924 7.3473 89.47 89.50 89.94
Sites, in units of the cell vectors:
V1 0.0000 0.0000 0.0000
V2 0.0126 0.4967 0.2536
V3 0.5117 0.6314 0.5060
Co1 0.5018 0.1317 0.7559
O1 0.0659 0.1890 0.1901
O2 0.0734 0.6950 0.0636
O3 0.1667 0.0855 0.8177
O4 0.2063 0.5847 0.4365
O5 0.5601 0.9240 0.5513
O6 0.5629 0.4636 0.6947
O7 0.7030 0.5363 0.3221
O8 0.7052 0.0288 0.9527

Space-group type: P1
DFT formation energy (eV/atom): -2.18
E (eV per atom): -7.318

***

Record 2
VASP calculation (PBE with a Hubbard U) on a relaxed Sr2MgFeO4 crystal.

Lattice parameters (Å, degrees): 9.4359 9.4359 9.4359 155.88 155.88 34.38
Sites, in units of the cell vectors:
Sr1 0.1834 0.1834 0.0000
Sr2 0.8166 0.8166 0.0000
Mg1 0.0000 0.0000 0.0000
Fe1 0.5000 0.5000 0.0000
O1 0.0000 0.5000 0.5000
O2 0.3128 0.3128 0.0000
O3 0.5000 0.0000 0.5000
O4 0.6872 0.6872 0.0000

Space-group type: I4/mmm
DFT formation energy (eV/atom): -2.22
E (eV per atom): -5.745

***

| no. | energy above the most stable polymorph in this dataset (eV per atom) | ρ (kg/m³) |
| --- | --- | --- |
| 1 | 0.0358 | 2459 |
| 2 | 0.3508 | 3783 |